A plane-wave DFT calculation with PBE was carried out for a geometry-optimized HoMg2 structure. Values from VASP.

```
&SYSTEM
  ibrav = 0, nat = 6, ntyp = 2
/
ATOMIC_SPECIES
Ho 164.93 Ho.upf
Mg 24.30 Mg.upf
CELL_PARAMETERS angstrom
0.0000 4.2553 4.2553
4.2553 0.0000 4.2553
4.2553 4.2553 0.0000
ATOMIC_POSITIONS crystal
Ho 0.1250 0.1250 0.1250
Ho 0.8750 0.8750 0.8750
Mg 0.0000 0.5000 0.5000
Mg 0.5000 0.0000 0.5000
Mg 0.5000 0.5000 0.0000
Mg 0.5000 0.5000 0.5000
```

Properties
Volume: 154.1 Å³ per cell

---

A plane-wave DFT calculation with PBE was carried out for a geometry-optimized Ho5Mg24 structure. Values from VASP.

```
&SYSTEM
  ibrav = 0, nat = 29, ntyp = 2
/
ATOMIC_SPECIES
Ho 164.93 Ho.upf
Mg 24.30 Mg.upf
CELL_PARAMETERS angstrom
-5.6307 5.6307 5.6307
5.6307 -5.6307 5.6307
5.6307 5.6307 -5.6307
ATOMIC_POSITIONS crystal
Ho 0.0000 0.0000 0.0000
Ho 0.0000 0.0000 0.6314
Ho 0.0000 0.6314 0.0000
Ho 0.3686 0.3686 0.3686
Ho 0.6314 0.0000 0.0000
Mg 0.0000 0.1915 0.3707
Mg 0.0000 0.3707 0.1915
Mg 0.0000 0.3938 0.6786
Mg 0.0000 0.6786 0.3938
Mg 0.1792 0.8085 0.8085
Mg 0.1915 0.0000 0.3707
Mg 0.1915 0.3707 0.0000
Mg 0.2848 0.6062 0.6062
Mg 0.3214 0.3214 0.7152
Mg 0.3214 0.7152 0.3214
Mg 0.3707 0.0000 0.1915
Mg 0.3707 0.1915 0.0000
Mg 0.3938 0.0000 0.6786
Mg 0.3938 0.6786 0.0000
Mg 0.6062 0.2848 0.6062
Mg 0.6062 0.6062 0.2848
Mg 0.6293 0.6293 0.8208
Mg 0.6293 0.8208 0.6293
Mg 0.6786 0.0000 0.3938
Mg 0.6786 0.3938 0.0000
Mg 0.7152 0.3214 0.3214
Mg 0.8085 0.1792 0.8085
Mg 0.8085 0.8085 0.1792
Mg 0.8208 0.6293 0.6293
```

Properties
Volume: 714.1 Å³ per cell

---

| no. | formation enthalpy at 0 K (eV/atom) |
| --- | --- |
| 1 | -0.0588 |
| 2 | -0.0358 |